Ge2Pt3 after structural relaxation. Source: Materials Project, functional r2SCAN.

## Properties
* SG: P2_1/m (11)
* magnetization: 0.00 μB per atom
* crystal system: monoclinic
* calculated total energy: -368.9 eV/cell
* DFT formation energy: -0.452 eV/atom
* energy above the lowest structure with this stoichiometry: 5 meV per atom

Lattice parameters (Å, degrees): 3.4944 7.5847 6.3636 90.00 105.85 90.00
Sites, in units of the cell vectors:
1 Ge 0.0000 0.0000 0.0000
2 Ge 0.0000 0.5000 0.0000
3 Ge 0.2565 0.2500 0.5128
4 Ge 0.7435 0.7500 0.4872
5 Pt 0.3396 0.5588 0.6799
6 Pt 0.3396 0.9412 0.6799
7 Pt 0.4655 0.2500 0.9308
8 Pt 0.5345 0.7500 0.0692
9 Pt 0.6604 0.0588 0.3201
10 Pt 0.6604 0.4412 0.3201